# Sr3MgO4

A relaxed Sr3MgO4 crystal (GGA-PBE, the Materials Project database).

The structure in CIF format:
```
data_Sr3MgO4
_cell_length_a 3.507
_cell_length_b 5.076
_cell_length_c 7.118
_cell_angle_alpha 90.00
_cell_angle_beta 90.00
_cell_angle_gamma 90.00
_symmetry_space_group_name_H-M 'P m m m'
_symmetry_Int_Tables_number 47
loop_
_symmetry_equiv_pos_as_xyz
'x,y,z'
'-x,-y,-z'
'-x,-y,z'
'x,y,-z'
'x,-y,-z'
'-x,y,z'
'-x,y,-z'
'x,-y,z'
loop_
_atom_site_label
_atom_site_fract_x
_atom_site_fract_y
_atom_site_fract_z
Sr1 0.000 0.000 0.000
Sr2 0.500 0.500 0.261
Mg1 0.000 0.000 0.500
O1 0.000 0.500 0.000
O2 0.000 0.500 0.500
O3 0.500 0.000 0.282
```

# Sr3MgTa2O9

A relaxed Sr3MgTa2O9 crystal (GGA-PBE, the Materials Project database).

The structure in CIF format:
```
data_Sr3MgTa2O9
_cell_length_a 5.7203
_cell_length_b 5.7203
_cell_length_c 7.0327
_cell_angle_alpha 90.00
_cell_angle_beta 90.00
_cell_angle_gamma 120.00
_symmetry_space_group_name_H-M 'P -3 m 1'
_symmetry_Int_Tables_number 164
_symmetry_space_group_name_Hall '-P 3 2"'
loop_
_atom_site_label
_atom_site_fract_x
_atom_site_fract_y
_atom_site_fract_z
Sr1 0.0000 0.0000 0.0000
Sr2 0.3333 0.6667 0.6737
Mg1 0.0000 0.0000 0.5000
Ta1 0.3333 0.6667 0.1811
O1 0.0000 0.5000 0.0000
O2 0.1685 0.3370 0.3271
```

Quick rundown of VASP energy, same order as above: -0.216; -0.295 Ha/atom